(1)
Computed, not measured: an optimized crystal structure of ErSiRh at the PBE-GGA level of DFT.

Cell: 6.845 4.224 7.398 Å, 90.00 90.00 90.00°
Fractional coordinates of all 12 atoms:
1 Er 0.001 0.250 0.190
2 Er 0.499 0.750 0.690
3 Er 0.501 0.250 0.310
4 Er 0.999 0.750 0.810
5 Si 0.206 0.750 0.395
6 Si 0.294 0.250 0.895
7 Si 0.706 0.750 0.105
8 Si 0.794 0.250 0.605
9 Rh 0.154 0.250 0.569
10 Rh 0.346 0.750 0.069
11 Rh 0.654 0.250 0.931
12 Rh 0.846 0.750 0.431

Properties
Space group = Pnma (62)

=====

(2)
Computed, not measured: an optimized crystal structure of Er2Si3Rh at the PBE-GGA level of DFT.

Cell: 8.138 8.138 7.823 Å, 90.00 90.00 120.00°
Fractional coordinates of all 24 atoms:
1 Er 0.000 0.000 0.250
2 Er 0.000 0.000 0.750
3 Er 0.018 0.509 0.250
4 Er 0.491 0.509 0.250
5 Er 0.491 0.982 0.250
6 Er 0.509 0.018 0.750
7 Er 0.509 0.491 0.750
8 Er 0.982 0.491 0.750
9 Si 0.167 0.334 0.000
10 Si 0.167 0.334 0.500
11 Si 0.167 0.833 0.000
12 Si 0.167 0.833 0.500
13 Si 0.334 0.167 0.000
14 Si 0.334 0.167 0.500
15 Si 0.666 0.833 0.000
16 Si 0.666 0.833 0.500
17 Si 0.833 0.167 0.000
18 Si 0.833 0.167 0.500
19 Si 0.833 0.666 0.000
20 Si 0.833 0.666 0.500
21 Rh 0.333 0.667 0.533
22 Rh 0.333 0.667 0.967
23 Rh 0.667 0.333 0.033
24 Rh 0.667 0.333 0.467

Properties
Space group = P6_3/mmc (194)

=====

Calculated total energy in eV per atom, matching the order above: -6.856; -6.389